No. 1
# LiBr, optimized geometry, DFT PBE
data_LiBr
_symmetry_space_group_name_H-M 'P 1'
_symmetry_Int_Tables_number 1
_cell_length_a 3.899
_cell_length_b 3.899
_cell_length_c 3.899
_cell_angle_alpha 60.00
_cell_angle_beta 60.00
_cell_angle_gamma 60.00
loop_
_symmetry_equiv_pos_as_xyz
'x,y,z'
loop_
_atom_site_label
_atom_site_fract_x
_atom_site_fract_y
_atom_site_fract_z
Br1 0.500 0.500 0.500
Li1 0.000 0.000 0.000
# - Electronic total energy: -3.316 eV per atom


No. 2
# RbCuSe4, optimized geometry, DFT PBE
data_RbCuSe4
_symmetry_space_group_name_H-M 'P 1'
_symmetry_Int_Tables_number 1
_cell_length_a 5.571
_cell_length_b 9.029
_cell_length_c 13.819
_cell_angle_alpha 90.00
_cell_angle_beta 90.00
_cell_angle_gamma 90.00
loop_
_symmetry_equiv_pos_as_xyz
'x,y,z'
loop_
_atom_site_label
_atom_site_fract_x
_atom_site_fract_y
_atom_site_fract_z
Cu1 0.533 0.137 0.064
Cu2 0.967 0.863 0.564
Cu3 0.467 0.637 0.436
Cu4 0.033 0.363 0.936
Se1 0.660 0.367 0.838
Se2 0.160 0.133 0.162
Se3 0.364 0.197 0.905
Se4 0.840 0.117 0.596
Se5 0.918 0.412 0.435
Se6 0.864 0.303 0.095
Se7 0.082 0.912 0.065
Se8 0.636 0.697 0.595
Se9 0.136 0.803 0.405
Se10 0.160 0.617 0.904
Se11 0.660 0.883 0.096
Se12 0.340 0.383 0.404
Se13 0.418 0.088 0.565
Se14 0.582 0.588 0.935
Se15 0.340 0.867 0.662
Se16 0.840 0.633 0.338
Rb1 0.812 0.940 0.834
Rb2 0.188 0.440 0.666
Rb3 0.688 0.060 0.334
Rb4 0.312 0.560 0.166
# - Electronic total energy: -3.585 eV per atom


No. 3
# CeSn4Pd2, optimized geometry, DFT PBE
data_CeSn4Pd2
_symmetry_space_group_name_H-M 'P 1'
_symmetry_Int_Tables_number 1
_cell_length_a 8.929
_cell_length_b 8.929
_cell_length_c 6.119
_cell_angle_alpha 90.00
_cell_angle_beta 90.00
_cell_angle_gamma 138.17
loop_
_symmetry_equiv_pos_as_xyz
'x,y,z'
loop_
_atom_site_label
_atom_site_fract_x
_atom_site_fract_y
_atom_site_fract_z
Ce1 0.772 0.772 0.250
Ce2 0.228 0.228 0.750
Sn1 0.197 0.369 0.250
Sn2 0.803 0.631 0.750
Sn3 0.369 0.197 0.250
Sn4 0.149 0.551 0.750
Sn5 0.449 0.851 0.250
Sn6 0.851 0.449 0.250
Sn7 0.551 0.149 0.750
Sn8 0.631 0.803 0.750
Pd1 0.170 0.830 0.000
Pd2 0.830 0.170 0.500
Pd3 0.170 0.830 0.500
Pd4 0.830 0.170 0.000
# - Magnetic moment: 1.942 Bohr magnetons per cell
# - Electronic total energy: -5.182 eV per atom


DFT formation energy? In order: -1810 -723 -563 meV/atom.